[1]
The following is a DFT calculation (r2SCAN) of crystalline Al2Mo3C at its relaxed geometry.

Results
Total magnetization, μB/cell: 0.000
Calculated formation energy, eV per atom: -0.2101

a = 6.854 Å, b = 6.854 Å, c = 6.854 Å
α = 90.00°, β = 90.00°, γ = 90.00°
Sites, in units of the cell vectors:
Al 0.067 0.067 0.067
Al 0.183 0.817 0.317
Al 0.317 0.183 0.817
Al 0.433 0.933 0.567
Al 0.567 0.433 0.933
Al 0.683 0.683 0.683
Al 0.817 0.317 0.183
Al 0.933 0.567 0.433
Mo 0.048 0.875 0.702
Mo 0.125 0.202 0.452
Mo 0.202 0.452 0.125
Mo 0.298 0.548 0.625
Mo 0.375 0.798 0.952
Mo 0.452 0.125 0.202
Mo 0.548 0.625 0.298
Mo 0.625 0.298 0.548
Mo 0.702 0.048 0.875
Mo 0.798 0.952 0.375
Mo 0.875 0.702 0.048
Mo 0.952 0.375 0.798
C 0.125 0.625 0.875
C 0.375 0.375 0.375
C 0.625 0.875 0.125
C 0.875 0.125 0.625


[2]
The following is a DFT calculation (r2SCAN) of crystalline Al4CO4 at its relaxed geometry.

Results
Total magnetization, μB/cell: 0.000
Calculated formation energy, eV per atom: -2.5483

a = 5.139 Å, b = 5.139 Å, c = 9.088 Å
α = 90.00°, β = 90.00°, γ = 112.20°
Sites, in units of the cell vectors:
Al 0.062 0.938 0.500
Al 0.107 0.435 0.710
Al 0.398 0.602 0.420
Al 0.435 0.107 0.210
Al 0.565 0.893 0.710
Al 0.602 0.398 0.920
Al 0.893 0.565 0.210
Al 0.938 0.062 0.000
C 0.195 0.805 0.325
C 0.805 0.195 0.825
O 0.180 0.310 0.534
O 0.195 0.805 0.655
O 0.310 0.180 0.034
O 0.442 0.558 0.799
O 0.558 0.442 0.299
O 0.690 0.820 0.534
O 0.805 0.195 0.155
O 0.820 0.690 0.034


[3]
The following is a DFT calculation (r2SCAN) of crystalline ScAlCO at its relaxed geometry.

Results
Total magnetization, μB/cell: 0.000
Calculated formation energy, eV per atom: -1.9222

a = 10.215 Å, b = 10.215 Å, c = 10.215 Å
α = 18.44°, β = 18.44°, γ = 18.44°
Sites, in units of the cell vectors:
Sc 0.000 0.000 0.000
Sc 0.500 0.500 0.500
Al 0.239 0.239 0.239
Al 0.761 0.761 0.761
C 0.118 0.118 0.118
C 0.882 0.882 0.882
O 0.300 0.300 0.300
O 0.700 0.700 0.700


[4]
The following is a DFT calculation (r2SCAN) of crystalline Sc3Al3C2O5 at its relaxed geometry.

Results
Total magnetization, μB/cell: 0.000
Calculated formation energy, eV per atom: -2.5593

a = 3.257 Å, b = 3.257 Å, c = 31.542 Å
α = 90.00°, β = 90.00°, γ = 120.00°
Sites, in units of the cell vectors:
Sc 0.000 0.000 0.000
Sc 0.000 0.000 0.500
Sc 0.333 0.667 0.160
Sc 0.333 0.667 0.340
Sc 0.667 0.333 0.660
Sc 0.667 0.333 0.840
Al 0.000 0.000 0.250
Al 0.000 0.000 0.750
Al 0.333 0.667 0.569
Al 0.333 0.667 0.931
Al 0.667 0.333 0.069
Al 0.667 0.333 0.431
C 0.333 0.667 0.047
C 0.333 0.667 0.453
C 0.667 0.333 0.547
C 0.667 0.333 0.953
O 0.000 0.000 0.191
O 0.000 0.000 0.309
O 0.000 0.000 0.691
O 0.000 0.000 0.809
O 0.333 0.667 0.250
O 0.333 0.667 0.628
O 0.333 0.667 0.872
O 0.667 0.333 0.128
O 0.667 0.333 0.372
O 0.667 0.333 0.750


[5]
The following is a DFT calculation (r2SCAN) of crystalline Sc3AlC at its relaxed geometry.

Results
Total magnetization, μB/cell: 0.000
Calculated formation energy, eV per atom: -0.6796

a = 4.509 Å, b = 4.509 Å, c = 4.509 Å
α = 90.00°, β = 90.00°, γ = 90.00°
Sites, in units of the cell vectors:
Sc 0.000 0.000 0.500
Sc 0.000 0.500 0.000
Sc 0.500 0.000 0.000
Al 0.500 0.500 0.500
C 0.000 0.000 0.000


[6]
The following is a DFT calculation (r2SCAN) of crystalline Ta4AlC3 at its relaxed geometry.

Results
Total magnetization, μB/cell: 0.000
Calculated formation energy, eV per atom: -0.6391

a = 3.129 Å, b = 3.129 Å, c = 24.147 Å
α = 90.00°, β = 90.00°, γ = 120.00°
Sites, in units of the cell vectors:
Ta 0.000 0.000 0.158
Ta 0.000 0.000 0.342
Ta 0.000 0.000 0.658
Ta 0.000 0.000 0.842
Ta 0.333 0.667 0.055
Ta 0.333 0.667 0.445
Ta 0.667 0.333 0.555
Ta 0.667 0.333 0.945
Al 0.333 0.667 0.250
Al 0.667 0.333 0.750
C 0.000 0.000 0.000
C 0.000 0.000 0.500
C 0.333 0.667 0.608
C 0.333 0.667 0.892
C 0.667 0.333 0.108
C 0.667 0.333 0.392


[7]
The following is a DFT calculation (r2SCAN) of crystalline ThAl4C4 at its relaxed geometry.

Results
Total magnetization, μB/cell: 0.000
Calculated formation energy, eV per atom: -0.3512

a = 6.043 Å, b = 6.043 Å, c = 6.043 Å
α = 94.36°, β = 94.36°, γ = 148.00°
Sites, in units of the cell vectors:
Th 0.000 0.000 0.000
Al 0.180 0.642 0.822
Al 0.358 0.180 0.538
Al 0.642 0.820 0.462
Al 0.820 0.358 0.178
C 0.247 0.411 0.658
C 0.411 0.753 0.163
C 0.589 0.247 0.837
C 0.753 0.589 0.342


[8]
The following is a DFT calculation (r2SCAN) of crystalline Ti2AlC at its relaxed geometry.

Results
Total magnetization, μB/cell: 0.000
Calculated formation energy, eV per atom: -0.7809

a = 3.057 Å, b = 3.057 Å, c = 13.686 Å
α = 90.00°, β = 90.00°, γ = 120.00°
Sites, in units of the cell vectors:
Ti 0.333 0.667 0.084
Ti 0.333 0.667 0.416
Ti 0.667 0.333 0.584
Ti 0.667 0.333 0.916
Al 0.333 0.667 0.750
Al 0.667 0.333 0.250
C 0.000 0.000 0.000
C 0.000 0.000 0.500


[9]
The following is a DFT calculation (r2SCAN) of crystalline Ti3AlC2 at its relaxed geometry.

Results
Total magnetization, μB/cell: 0.000
Calculated formation energy, eV per atom: -0.8682

a = 3.072 Å, b = 3.072 Å, c = 18.624 Å
α = 90.00°, β = 90.00°, γ = 120.00°
Sites, in units of the cell vectors:
Ti 0.000 0.000 0.000
Ti 0.000 0.000 0.500
Ti 0.333 0.667 0.127
Ti 0.333 0.667 0.373
Ti 0.667 0.333 0.627
Ti 0.667 0.333 0.873
Al 0.000 0.000 0.250
Al 0.000 0.000 0.750
C 0.333 0.667 0.569
C 0.333 0.667 0.931
C 0.667 0.333 0.069
C 0.667 0.333 0.431


[10]
The following is a DFT calculation (r2SCAN) of crystalline UAl3C3 at its relaxed geometry.

Results
Total magnetization, μB/cell: 5.152
Calculated formation energy, eV per atom: -0.3483

a = 3.391 Å, b = 3.391 Å, c = 17.550 Å
α = 90.00°, β = 90.00°, γ = 120.00°
Sites, in units of the cell vectors:
U 0.000 0.000 0.000
U 0.000 0.000 0.500
Al 0.333 0.667 0.136
Al 0.333 0.667 0.364
Al 0.333 0.667 0.752
Al 0.667 0.333 0.250
Al 0.667 0.333 0.636
Al 0.667 0.333 0.865
C 0.333 0.667 0.250
C 0.333 0.667 0.596
C 0.333 0.667 0.903
C 0.667 0.333 0.097
C 0.667 0.333 0.403
C 0.667 0.333 0.750


[11]
The following is a DFT calculation (r2SCAN) of crystalline U2Al3C4 at its relaxed geometry.

Results
Total magnetization, μB/cell: 7.983
Calculated formation energy, eV per atom: -0.3212

a = 3.410 Å, b = 3.410 Å, c = 23.585 Å
α = 90.00°, β = 90.00°, γ = 120.00°
Sites, in units of the cell vectors:
U 0.333 0.667 0.000
U 0.333 0.667 0.374
U 0.667 0.333 0.500
U 0.667 0.333 0.874
Al 0.000 0.000 0.102
Al 0.000 0.000 0.272
Al 0.000 0.000 0.602
Al 0.000 0.000 0.772
Al 0.333 0.667 0.686
Al 0.667 0.333 0.186
C 0.000 0.000 0.187
C 0.000 0.000 0.437
C 0.000 0.000 0.687
C 0.000 0.000 0.937
C 0.333 0.667 0.573
C 0.333 0.667 0.801
C 0.667 0.333 0.073
C 0.667 0.333 0.301


[12]
The following is a DFT calculation (r2SCAN) of crystalline Al3V12C8 at its relaxed geometry.

Results
Total magnetization, μB/cell: 0.000
Calculated formation energy, eV per atom: -0.6162

a = 5.041 Å, b = 5.041 Å, c = 22.605 Å
α = 90.00°, β = 90.00°, γ = 120.00°
Sites, in units of the cell vectors:
Al 0.000 0.329 0.250
Al 0.000 0.671 0.750
Al 0.329 0.000 0.250
Al 0.329 0.329 0.750
Al 0.671 0.000 0.750
Al 0.671 0.671 0.250
V 0.000 0.000 0.153
V 0.000 0.000 0.347
V 0.000 0.000 0.653
V 0.000 0.000 0.847
V 0.000 0.355 0.055
V 0.000 0.355 0.445
V 0.000 0.645 0.555
V 0.000 0.645 0.945
V 0.333 0.667 0.156
V 0.333 0.667 0.344
V 0.333 0.667 0.656
V 0.333 0.667 0.844
V 0.355 0.000 0.055
V 0.355 0.000 0.445
V 0.355 0.355 0.555
V 0.355 0.355 0.945
V 0.645 0.000 0.555
V 0.645 0.000 0.945
V 0.645 0.645 0.055
V 0.645 0.645 0.445
V 0.667 0.333 0.156
V 0.667 0.333 0.344
V 0.667 0.333 0.656
V 0.667 0.333 0.844
C 0.000 0.333 0.607
C 0.000 0.333 0.893
C 0.000 0.667 0.107
C 0.000 0.667 0.393
C 0.333 0.000 0.607
C 0.333 0.000 0.893
C 0.333 0.333 0.107
C 0.333 0.333 0.393
C 0.333 0.667 0.000
C 0.333 0.667 0.500
C 0.667 0.000 0.107
C 0.667 0.000 0.393
C 0.667 0.333 0.000
C 0.667 0.333 0.500
C 0.667 0.667 0.607
C 0.667 0.667 0.893


[13]
The following is a DFT calculation (r2SCAN) of crystalline Y3AlC at its relaxed geometry.

Results
Total magnetization, μB/cell: 0.000
Calculated formation energy, eV per atom: -0.5382

a = 4.886 Å, b = 4.886 Å, c = 4.886 Å
α = 90.00°, β = 90.00°, γ = 90.00°
Sites, in units of the cell vectors:
Y 0.000 0.000 0.500
Y 0.000 0.500 0.000
Y 0.500 0.000 0.000
Al 0.500 0.500 0.500
C 0.000 0.000 0.000


[14]
The following is a DFT calculation (r2SCAN) of crystalline Yb3AlC at its relaxed geometry.

Results
Total magnetization, μB/cell: 0.000
Calculated formation energy, eV per atom: -0.6207

a = 4.748 Å, b = 4.748 Å, c = 4.748 Å
α = 90.00°, β = 90.00°, γ = 90.00°
Sites, in units of the cell vectors:
Yb 0.000 0.000 0.500
Yb 0.000 0.500 0.000
Yb 0.500 0.000 0.000
Al 0.500 0.500 0.500
C 0.000 0.000 0.000


[15]
The following is a DFT calculation (r2SCAN) of crystalline YbAl3C3 at its relaxed geometry.

Results
Total magnetization, μB/cell: 0.000
Calculated formation energy, eV per atom: -0.5012

a = 3.390 Å, b = 3.390 Å, c = 17.075 Å
α = 90.00°, β = 90.00°, γ = 120.00°
Sites, in units of the cell vectors:
Yb 0.000 0.000 0.000
Yb 0.000 0.000 0.500
Al 0.333 0.667 0.133
Al 0.333 0.667 0.368
Al 0.333 0.667 0.747
Al 0.667 0.333 0.247
Al 0.667 0.333 0.633
Al 0.667 0.333 0.868
C 0.333 0.667 0.250
C 0.333 0.667 0.593
C 0.333 0.667 0.911
C 0.667 0.333 0.093
C 0.667 0.333 0.411
C 0.667 0.333 0.750


[16]
The following is a DFT calculation (r2SCAN) of crystalline YbAl3C3 at its relaxed geometry.

Results
Total magnetization, μB/cell: 0.000
Calculated formation energy, eV per atom: -0.5012

a = 3.389 Å, b = 3.389 Å, c = 17.077 Å
α = 90.00°, β = 90.00°, γ = 120.00°
Sites, in units of the cell vectors:
Yb 0.000 0.000 0.000
Yb 0.000 0.000 0.500
Al 0.333 0.667 0.133
Al 0.333 0.667 0.367
Al 0.333 0.667 0.750
Al 0.667 0.333 0.250
Al 0.667 0.333 0.633
Al 0.667 0.333 0.867
C 0.333 0.667 0.250
C 0.333 0.667 0.591
C 0.333 0.667 0.909
C 0.667 0.333 0.091
C 0.667 0.333 0.409
C 0.667 0.333 0.750


[17]
The following is a DFT calculation (r2SCAN) of crystalline Zr3Al3C5 at its relaxed geometry.

Results
Total magnetization, μB/cell: 0.000
Calculated formation energy, eV per atom: -0.7047

a = 3.347 Å, b = 3.347 Å, c = 27.622 Å
α = 90.00°, β = 90.00°, γ = 120.00°
Sites, in units of the cell vectors:
Zr 0.000 0.000 0.000
Zr 0.000 0.000 0.500
Zr 0.333 0.667 0.096
Zr 0.333 0.667 0.404
Zr 0.667 0.333 0.596
Zr 0.667 0.333 0.904
Al 0.000 0.000 0.250
Al 0.000 0.000 0.750
Al 0.333 0.667 0.677
Al 0.333 0.667 0.823
Al 0.667 0.333 0.177
Al 0.667 0.333 0.323
C 0.000 0.000 0.153
C 0.000 0.000 0.347
C 0.000 0.000 0.653
C 0.000 0.000 0.847
C 0.333 0.667 0.550
C 0.333 0.667 0.750
C 0.333 0.667 0.950
C 0.667 0.333 0.050
C 0.667 0.333 0.250
C 0.667 0.333 0.450